Entry a
The following is a GGA-PBE calculation of a relaxed MnCrN2 crystal, from Materials Project.

Cell: 4.7680 2.7559 5.3333 Å, 90.00 107.43 90.00°
Closest atoms and distances in Å follow each position.
Sites, in units of the cell vectors:
1 Mn 0.0000 0.0000 0.0000  6 N 2.03-2.07
2 Mn 0.5000 0.5000 0.0000  6 N 2.03-2.07
3 Cr 0.3341 0.5000 0.5021  6 N 2.01-2.03
4 Cr 0.8341 0.0000 0.5021  6 N 2.01-2.03
5 N 0.0836 0.5000 0.7505  3 Cr 2.03, 3 Mn 2.03-2.04
6 N 0.4196 0.0000 0.2589  3 Cr 2.01-2.02, 3 Mn 2.06-2.07
7 N 0.5836 0.0000 0.7505  3 Cr 2.03, 3 Mn 2.03-2.04
8 N 0.9196 0.5000 0.2589  3 Cr 2.01-2.02, 3 Mn 2.06-2.07

The calculation puts the theoretical density at 6.703 g cm⁻³. The spin magnetization comes out at 2.55 μB/f.u.

Entry b
The following is a GGA-PBE calculation of a relaxed MnCrN2 crystal, from Materials Project.

Cell: 5.0842 6.1584 4.9468 Å, 90.00 90.00 90.00°
Closest atoms and distances in Å follow each position.
Sites, in units of the cell vectors:
1 Mn 0.0695 0.1142 0.0000  4 N 1.84-1.93
2 Mn 0.4305 0.6142 0.5000  4 N 1.84-1.93
3 Mn 0.5695 0.3858 0.0000  4 N 1.84-1.93
4 Mn 0.9305 0.8858 0.5000  4 N 1.84-1.93
5 Cr 0.0935 0.6455 0.0905  4 N 1.87-1.91
6 Cr 0.4065 0.1455 0.5905  4 N 1.87-1.91
7 Cr 0.5935 0.8545 0.0905  4 N 1.87-1.91
8 Cr 0.9065 0.3545 0.5905  4 N 1.87-1.91
9 N 0.0710 0.6067 0.4639  2 Mn 1.84-1.87, 2 Cr 1.87
10 N 0.0860 0.1415 0.3890  2 Mn 1.85-1.93, 2 Cr 1.88-1.91
11 N 0.4140 0.6415 0.8890  2 Mn 1.85-1.93, 2 Cr 1.88-1.91
12 N 0.4290 0.1067 0.9639  2 Mn 1.84-1.87, 2 Cr 1.87
13 N 0.5710 0.8933 0.4639  2 Mn 1.84-1.87, 2 Cr 1.87
14 N 0.5860 0.3585 0.3890  2 Mn 1.85-1.93, 2 Cr 1.88-1.91
15 N 0.9140 0.8585 0.8890  2 Mn 1.85-1.93, 2 Cr 1.88-1.91
16 N 0.9290 0.3933 0.9639  2 Mn 1.84-1.87, 2 Cr 1.87

The calculation puts the theoretical density at 5.787 g cm⁻³. The spin magnetization comes out at 0.29 μB/f.u.

Of them, the most stable is entry b and the least stable is entry a.